A plane-wave DFT calculation with PBE-GGA was carried out for Na3LaTi3Si3S3O24 after structural relaxation.

Symmetry: P1
Formation energy (eV/atom): -2.769
Total magnetic moment (Bohr magnetons per cell): 0.0

a b c (Å): 8.9786 8.9935 22.8009
angles (deg): 89.66 89.20 60.57
With the nearest neighbours (Å) after each atom.
Fractional positions:
Na (0.0000, 0.0000, 0.0000)  5 O 2.48-2.77
Na (0.0010, 0.0124, 0.5013)  5 O 2.53-2.81
Na (0.2955, 0.3335, 0.1666)  3 O 2.40-2.59
Na (0.3110, 0.3333, 0.6731)  6 O 2.47-2.69
Na (0.6367, 0.0403, 0.5932)  4 O 2.32-2.59
Na (0.6424, 0.6715, 0.8355)  6 O 2.50-2.69
Na (0.6440, 0.3133, 0.0763)  4 O 2.33-2.55
Na (0.6526, 0.6622, 0.3417)  5 O 2.43-2.60
Na (0.9638, 0.3728, 0.2538)  4 O 2.34-2.51
La (0.2991, 0.3134, 0.0068)  4 O 2.21-2.39
La (0.3008, 0.3277, 0.5218)  6 O 2.19-2.44
La (0.6442, 0.6670, 0.1945)  6 O 2.20-2.41
Ti (0.2935, 0.3576, 0.3155)  4 O 1.84-2.03
Ti (0.3517, 0.2926, 0.8201)  3 O 1.82-1.85
Ti (0.6237, 0.6765, 0.6918)  3 O 1.77-1.97
Ti (0.6479, 0.6401, 0.4865)  3 O 1.81-1.93
Ti (0.6485, 0.6404, 0.9767)  3 O 1.83-1.95
Ti (0.9567, 0.0068, 0.1523)  3 O 1.84-1.97
Ti (0.9595, 0.0080, 0.3551)  4 O 1.78-1.98
Ti (0.9704, 0.9987, 0.8527)  4 O 1.84-2.01
Ti (0.9735, 0.0174, 0.6487)  4 O 1.85-1.98
Si (0.0044, 0.3314, 0.4174)  4 O 1.60-1.69
Si (0.3134, 0.0078, 0.9157)  4 O 1.60-1.70
Si (0.3561, 0.9310, 0.5875)  4 O 1.62-1.66
Si (0.6224, 0.3184, 0.9191)  4 O 1.59-1.67
Si (0.6541, 0.3751, 0.5936)  4 O 1.61-1.68
Si (0.6742, 0.2742, 0.2565)  4 O 1.61-1.69
Si (0.6982, 0.9869, 0.7506)  4 O 1.61-1.69
Si (0.9424, 0.3586, 0.0884)  4 O 1.61-1.73
Si (0.9908, 0.7131, 0.2565)  4 O 1.60-1.69
S (0.0042, 0.6360, 0.9137)  4 O 1.46-1.51
S (0.2441, 0.0188, 0.2566)  4 O 1.46-1.51
S (0.2631, 0.7024, 0.7511)  4 O 1.47-1.53
S (0.3120, 0.6380, 0.4157)  4 O 1.47-1.51
S (0.3377, 0.6783, 0.0822)  4 O 1.47-1.51
S (0.6133, 0.0225, 0.4178)  4 O 1.47-1.51
S (0.6586, 0.9589, 0.0842)  4 O 1.46-1.52
S (0.9151, 0.6777, 0.5904)  4 O 1.46-1.50
S (0.9825, 0.2855, 0.7528)  4 O 1.47-1.52
O (0.0022, 0.8093, 0.1954)  1 Si 1.66
O (0.0067, 0.1788, 0.6983)  1 S 1.52
O (0.0891, 0.5289, 0.5905)  1 S 1.48
O (0.0928, 0.5878, 0.9705)  1 S 1.48
O (0.0983, 0.5166, 0.8664)  1 S 1.46
O (0.1094, 0.2870, 0.4771)  1 Si 1.60
O (0.1150, 0.3609, 0.3621)  1 Si 1.69
O (0.1327, 0.3318, 0.0845)  1 Si 1.61
O (0.1386, 0.3018, 0.7575)  1 S 1.48
O (0.1484, 0.0297, 0.2021)  1 S 1.50
O (0.1561, 0.0110, 0.3097)  1 S 1.46
O (0.1596, 0.9772, 0.8933)  1 Si 1.62
O (0.1638, 0.7890, 0.6983)  1 S 1.48
O (0.1653, 0.5175, 0.2602)  1 Si 1.69, 1 Ti 1.84
O (0.1656, 0.9494, 0.5960)  1 Si 1.64
O (0.1691, 0.8124, 0.4069)  1 S 1.47
O (0.1713, 0.8346, 0.0851)  1 S 1.47
O (0.1852, 0.8058, 0.8037)  1 S 1.47
O (0.2422, 0.1153, 0.9752)  1 Si 1.60
O (0.2570, 0.1796, 0.2570)  1 S 1.51
O (0.2780, 0.5728, 0.4707)  1 S 1.47
O (0.2829, 0.5289, 0.7565)  1 S 1.49
O (0.3225, 0.5206, 0.0779)  1 S 1.49
O (0.3339, 0.5195, 0.3658)  1 S 1.51
O (0.3466, 0.1273, 0.8648)  1 Si 1.70, 1 Ti 1.82
O (0.3507, 0.1136, 0.5883)  1 Si 1.62
O (0.4172, 0.8693, 0.2571)  1 S 1.47
O (0.4349, 0.6566, 0.1367)  1 S 1.48
O (0.4378, 0.6880, 0.0301)  1 S 1.51
O (0.4426, 0.6819, 0.7471)  1 S 1.53
O (0.4609, 0.8144, 0.5295)  1 Si 1.66
O (0.4718, 0.8377, 0.6460)  1 Si 1.65, 1 Ti 1.77
O (0.4763, 0.6407, 0.4196)  1 S 1.49
O (0.4806, 0.3475, 0.8674)  1 Si 1.67, 1 Ti 1.83
O (0.4895, 0.2837, 0.2648)  1 Si 1.63
O (0.4947, 0.8294, 0.9272)  1 Si 1.65
O (0.4956, 0.3394, 0.5926)  1 Si 1.61
O (0.4984, 0.1256, 0.3706)  1 S 1.47
O (0.5056, 0.1636, 0.7616)  1 Si 1.69, 1 Ti 1.85
O (0.5184, 0.1407, 0.0822)  1 S 1.50
O (0.5601, 0.1117, 0.4753)  1 S 1.49
O (0.5674, 0.2828, 0.9819)  1 Si 1.59
O (0.6235, 0.8534, 0.4212)  1 S 1.48
O (0.6312, 0.8921, 0.1399)  1 S 1.47
O (0.6350, 0.4965, 0.9234)  1 Si 1.66, 1 Ti 1.83
O (0.6476, 0.4917, 0.6482)  1 Si 1.61
O (0.6658, 0.4569, 0.2596)  1 Si 1.61
O (0.6655, 0.8594, 0.0328)  1 S 1.46
O (0.6680, 0.8219, 0.7450)  1 Si 1.64
O (0.6735, 0.4628, 0.5311)  1 Si 1.67, 1 Ti 1.81
O (0.7723, 0.1658, 0.1947)  1 Si 1.69, 1 Ti 1.84
O (0.7886, 0.0192, 0.6913)  1 Si 1.66
O (0.7927, 0.9935, 0.4091)  1 S 1.51
O (0.8023, 0.1644, 0.3088)  1 Si 1.62, 1 Ti 1.78
O (0.8062, 0.4753, 0.0324)  1 Si 1.73
O (0.8111, 0.1628, 0.9018)  1 Si 1.62
O (0.8168, 0.5097, 0.4270)  1 Si 1.67
O (0.8202, 0.9698, 0.8044)  1 Si 1.61
O (0.8205, 0.6860, 0.5359)  1 S 1.49
O (0.8271, 0.6681, 0.6434)  1 S 1.46
O (0.8267, 0.9604, 0.0877)  1 S 1.52
O (0.8279, 0.4552, 0.7486)  1 S 1.48
O (0.8315, 0.6482, 0.9208)  1 S 1.51
O (0.8328, 0.1843, 0.5966)  1 Si 1.68, 1 Ti 1.85
O (0.8330, 0.6756, 0.2613)  1 Si 1.61
O (0.8605, 0.4499, 0.1503)  1 Si 1.61
O (0.9267, 0.8390, 0.5898)  1 S 1.50
O (0.9437, 0.1710, 0.0920)  1 Si 1.68
O (0.9617, 0.1960, 0.8036)  1 S 1.47
O (0.9748, 0.1681, 0.4051)  1 Si 1.64
O (0.9746, 0.8121, 0.9026)  1 S 1.49
O (0.9947, 0.8195, 0.3121)  1 Si 1.60



A plane-wave DFT calculation with PBE-GGA was carried out for Tb3Zr after structural relaxation.

Symmetry: I4/mmm
Formation energy (eV/atom): 0.102
Total magnetic moment (Bohr magnetons per cell): 0.0

a b c (Å): 5.9799 5.9799 5.9799
angles (deg): 131.65 131.65 70.78
With the nearest neighbours (Å) after each atom.
Fractional positions:
Tb (0.0000, 0.0000, 0.0000)  8 Tb 3.46, 4 Zr 3.46
Tb (0.2500, 0.7500, 0.5000)  4 Zr 3.46, 8 Tb 3.46
Tb (0.7500, 0.2500, 0.5000)  4 Zr 3.46, 8 Tb 3.46
Zr (0.5000, 0.5000, 0.0000)  12 Tb 3.46



A plane-wave DFT calculation with PBE-GGA was carried out for Cs2RbAlCl6 after structural relaxation.

Symmetry: Fm-3m
Formation energy (eV/atom): -2.187
Total magnetic moment (Bohr magnetons per cell): 0.0

a b c (Å): 7.7759 7.7759 7.7759
angles (deg): 60.00 60.00 60.00
With the nearest neighbours (Å) after each atom.
Fractional positions:
Cs (0.2500, 0.2500, 0.2500)  12 Cl 3.91
Cs (0.7500, 0.7500, 0.7500)  12 Cl 3.91
Rb (0.0000, 0.0000, 0.0000)  6 Cl 3.15
Al (0.5000, 0.5000, 0.5000)  6 Cl 2.35
Cl (0.2861, 0.2861, 0.7139)  1 Al 2.35
Cl (0.2861, 0.7139, 0.2861)  1 Al 2.35
Cl (0.2861, 0.7139, 0.7139)  1 Al 2.35
Cl (0.7139, 0.2861, 0.2861)  1 Al 2.35
Cl (0.7139, 0.2861, 0.7139)  1 Al 2.35
Cl (0.7139, 0.7139, 0.2861)  1 Al 2.35



A plane-wave DFT calculation with PBE-GGA was carried out for In3Bi7Pb4S18 after structural relaxation.

Symmetry: P2_1/m
Formation energy (eV/atom): -0.683
Total magnetic moment (Bohr magnetons per cell): 0.2

a b c (Å): 19.0341 4.0349 21.1507
angles (deg): 90.00 96.69 90.00
With the nearest neighbours (Å) after each atom.
Fractional positions:
In (0.0521, 0.2500, 0.0663)  6 S 2.60-2.73
In (0.1272, 0.7500, 0.2201)  6 S 2.64-2.73
In (0.2182, 0.2500, 0.3630)  6 S 2.57-2.83
In (0.7818, 0.7500, 0.6370)  6 S 2.57-2.83
In (0.8728, 0.2500, 0.7799)  6 S 2.64-2.73
In (0.9479, 0.7500, 0.9337)  6 S 2.60-2.73
Bi (0.0983, 0.7500, 0.5035)  6 S 2.76-2.96
Bi (0.2349, 0.2500, 0.7054)  5 S 2.72-2.99
Bi (0.2674, 0.7500, 0.0377)  6 S 2.76-2.98
Bi (0.3457, 0.2500, 0.8891)  5 S 2.69-2.95
Bi (0.4321, 0.7500, 0.7363)  3 S 2.67-2.77
Bi (0.4569, 0.2500, 0.0788)  5 S 2.68-2.96
Bi (0.4570, 0.7500, 0.4141)  6 S 2.75-2.99
Bi (0.5430, 0.2500, 0.5859)  6 S 2.75-2.99
Bi (0.5431, 0.7500, 0.9212)  5 S 2.68-2.96
Bi (0.5679, 0.2500, 0.2637)  3 S 2.67-2.77
Bi (0.6543, 0.7500, 0.1109)  5 S 2.69-2.95
Bi (0.7326, 0.2500, 0.9623)  6 S 2.76-2.98
Bi (0.7651, 0.7500, 0.2946)  5 S 2.72-2.99
Bi (0.9017, 0.2500, 0.4965)  6 S 2.76-2.96
Pb (0.0151, 0.7500, 0.6812)  7 S 2.94-3.20
Pb (0.1254, 0.7500, 0.8579)  7 S 2.97-3.22
Pb (0.3084, 0.7500, 0.5370)  5 S 2.92-3.16
Pb (0.3453, 0.7500, 0.2441)  5 S 2.91-3.07
Pb (0.6547, 0.2500, 0.7559)  5 S 2.91-3.07
Pb (0.6916, 0.2500, 0.4630)  5 S 2.92-3.16
Pb (0.8746, 0.2500, 0.1421)  7 S 2.97-3.22
Pb (0.9849, 0.2500, 0.3188)  7 S 2.94-3.20
S (0.0363, 0.2500, 0.1931)  3 In 2.68-2.73, 1 Pb 2.94
S (0.0369, 0.2500, 0.5675)  3 Bi 2.76-2.83
S (0.0440, 0.2500, 0.9428)  3 In 2.60-2.72
S (0.1084, 0.2500, 0.7545)  1 Bi 2.73, 4 Pb 2.97-3.00
S (0.1141, 0.7500, 0.3428)  3 In 2.64-2.83
S (0.1436, 0.7500, 0.0936)  3 In 2.68-2.73, 1 Bi 2.76
S (0.1950, 0.7500, 0.6224)  3 Bi 2.72-2.94, 1 Pb 2.97
S (0.2076, 0.2500, 0.4833)  1 In 2.57
S (0.2234, 0.2500, 0.2417)  3 In 2.58-2.73
S (0.2256, 0.2500, 0.9444)  3 Bi 2.69-2.87
S (0.2893, 0.7500, 0.8037)  4 Bi 2.83-2.99
S (0.3098, 0.7500, 0.3742)  2 In 2.66, 1 Bi 2.83, 1 Pb 2.91
S (0.3284, 0.2500, 0.1193)  3 Bi 2.68-2.82
S (0.3790, 0.2500, 0.6548)  3 Bi 2.77-3.06
S (0.4046, 0.7500, 0.9823)  6 Bi 2.95-3.07
S (0.4206, 0.2500, 0.4923)  3 Bi 2.75-2.88
S (0.4430, 0.2500, 0.3093)  3 Bi 2.67-2.99, 2 Pb 2.97
S (0.4906, 0.2500, 0.8336)  5 Bi 2.84-3.12
S (0.5094, 0.7500, 0.1664)  5 Bi 2.84-3.12
S (0.5570, 0.7500, 0.6907)  3 Bi 2.67-2.99, 2 Pb 2.97
S (0.5794, 0.7500, 0.5077)  3 Bi 2.75-2.88
S (0.5954, 0.2500, 0.0177)  6 Bi 2.95-3.07
S (0.6210, 0.7500, 0.3452)  3 Bi 2.77-3.06
S (0.6716, 0.7500, 0.8807)  3 Bi 2.68-2.82
S (0.6902, 0.2500, 0.6258)  2 In 2.66, 1 Bi 2.83, 1 Pb 2.91
S (0.7107, 0.2500, 0.1963)  4 Bi 2.83-2.99
S (0.7744, 0.7500, 0.0556)  3 Bi 2.69-2.87
S (0.7766, 0.7500, 0.7583)  3 In 2.58-2.73
S (0.7924, 0.7500, 0.5167)  1 In 2.57
S (0.8050, 0.2500, 0.3776)  3 Bi 2.72-2.94, 1 Pb 2.97
S (0.8564, 0.2500, 0.9064)  3 In 2.68-2.73, 1 Bi 2.76
S (0.8859, 0.2500, 0.6572)  3 In 2.64-2.83
S (0.8916, 0.7500, 0.2455)  1 Bi 2.73, 4 Pb 2.97-3.00
S (0.9560, 0.7500, 0.0572)  3 In 2.60-2.72
S (0.9631, 0.7500, 0.4325)  3 Bi 2.76-2.83
S (0.9637, 0.7500, 0.8069)  3 In 2.68-2.73, 1 Pb 2.94



A plane-wave DFT calculation with PBE-GGA was carried out for Ba2AuO4 after structural relaxation.

Symmetry: I4_1/a
Formation energy (eV/atom): -1.505
Total magnetic moment (Bohr magnetons per cell): 2.0

a b c (Å): 7.0129 7.0129 7.0129
angles (deg): 114.47 114.47 99.88
With the nearest neighbours (Å) after each atom.
Fractional positions:
Ba (0.0000, 0.0000, 0.0000)  6 O 2.67-2.77
Ba (0.5000, 0.0000, 0.0000)  6 O 2.67-2.77
Ba (0.5000, 0.0000, 0.5000)  6 O 2.67-2.77
Ba (0.5000, 0.5000, 0.5000)  6 O 2.67-2.77
Au (0.1250, 0.3750, 0.7500)  4 O 2.08
Au (0.8750, 0.6250, 0.2500)  4 O 2.08
O (0.1921, 0.7045, 0.0103)  1 Au 2.08
O (0.1942, 0.1818, 0.4897)  1 Au 2.08
O (0.2045, 0.6942, 0.5124)  1 Au 2.08
O (0.3182, 0.3079, 0.0124)  1 Au 2.08
O (0.6818, 0.6921, 0.9876)  1 Au 2.08
O (0.7955, 0.3058, 0.4876)  1 Au 2.08
O (0.8058, 0.8182, 0.5103)  1 Au 2.08
O (0.8079, 0.2955, 0.9897)  1 Au 2.08



A plane-wave DFT calculation with PBE-GGA was carried out for UO11 after structural relaxation.

Symmetry: P1
Formation energy (eV/atom): -0.827
Polymorph energy (0 for the lowest one) (meV per atom): 91
Total magnetic moment (Bohr magnetons per cell): 4.0

a b c (Å): 5.4792 6.9867 8.3184
angles (deg): 103.92 94.64 111.56
With the nearest neighbours (Å) after each atom.
Fractional positions:
U (0.0000, 0.0000, 0.0000)  1 O 1.83
O (0.0584, 0.2183, 0.1911)  1 U 1.83
O (0.0866, 0.6072, 0.6655)  1 O 1.24
O (0.2376, 0.2247, 0.8461)  1 O 1.33
O (0.3712, 0.9678, 0.0048)  1 O 1.36
O (0.5723, 0.3144, 0.3793)  1 O 1.23
O (0.5938, 0.9782, 0.9403)  1 O 1.36
O (0.7242, 0.7090, 0.0867)  1 O 1.32
O (0.7744, 0.4385, 0.3464)  1 O 1.23
O (0.9243, 0.6585, 0.7412)  1 O 1.24
O (0.9702, 0.7779, 0.1718)  1 O 1.32
O (0.9825, 0.1433, 0.7723)  1 O 1.33



Raw total energy values, unit eV per atom, following the record order: -7.1888 -5.5103 -3.5797 -4.2999 -4.9555 -6.1555.